Density functional theory data (PBE-GGA) for an optimized crystal structure of Sm3Dy.

Properties
Calculated volume = 132 Å³ per cell
Symmetry = I4/mmm (139)
DFT total energy = -4.674 eV/atom
E_form = 0.017 eV/atom
Energy above the lowest structure with this stoichiometry = 5 meV per atom

Cell: 6.234 6.234 6.234 Å, 131.74 131.74 70.63°
Fractional coordinates of all 4 atoms:
Sm 0.750 0.250 0.500
Sm 0.250 0.750 0.500
Sm 0.500 0.500 0.000
Dy 0.000 0.000 0.000